VASP calculation (PBE-GGA) on crystalline SmNiAs at its relaxed geometry.

Computed properties:
theoretical density	8.1	g cm⁻³
energy relative to the elements	-1.040	eV per atom

Cell lengths 4.095, 4.095, 3.987 Å; angles 90.00, 90.00, 120.00 degrees
Fractional positions:
Sm 0.000 0.000 0.000
Ni 0.667 0.333 0.500
As 0.333 0.667 0.500